Computed, not measured: a relaxed LiCoPO4 crystal at the PBE+U level of DFT.

Summary:
* density: 2.96 Mg/m³
* ΔH_f (0 K): -2.34 eV/atom

a b c (Å): 5.1353 8.4478 5.1346
angles (deg): 107.71 60.00 107.73
With the nearest neighbours (Å) after each atom.
Element x y z (fractional)
O 0.8377 0.5558 0.1458  1 P 1.57
O 0.7377 0.1706 0.4297  1 P 1.57
O 0.0034 0.1709 0.7379  1 P 1.57
O 0.4297 0.1706 0.0034  1 P 1.57
O 0.5720 0.5556 0.8377  1 P 1.57
O 0.6374 0.9115 0.6372  1 P 1.52
O 0.1458 0.5557 0.5720  1 P 1.57
O 0.9382 0.8148 0.9381  1 P 1.52
Li 0.4134 0.2398 0.4133  3 O 1.97
Li 0.1623 0.4874 0.1624  3 O 1.97
P 0.7014 0.1039 0.7014  4 O 1.52-1.57
P 0.8741 0.6225 0.8741  4 O 1.52-1.57
Co 0.0187 0.0561 0.0187  4 O 1.91-2.01
Co 0.5567 0.6703 0.5568  4 O 1.91-2.01